GGA-PBE SrH3Pd, relaxed; space group = Pm-3m; energy of formation from the pure elements = -0.517 eV per atom; theoretical density = 5.7 g/cm3
1.0
-2.013 -1.326 3.000
2.700 -2.669 0.631
1.863 2.434 2.327
H Sr Pd
3 1 1
Cartesian
0.932 1.217 1.163
1.350 -1.335 0.316
-1.007 -0.663 1.500
1.275 -0.781 2.979
0.000 0.000 0.000